1.
Below is a relaxed TaRe crystal, with properties calculated at the r²SCAN level.

Output
Electronic total energy in eV per atom: -50.75

a b c (Å): 2.791 2.791 4.444
angles (deg): 90.00 90.00 110.22
Fractional coordinates of all 2 atoms:
Ta: 0.000 0.000 0.000
Re: 0.500 0.500 0.500

***

2.
Below is a relaxed Rb2SnF6 crystal, with properties calculated at the r²SCAN level.

Output
Electronic total energy in eV per atom: -10.89

a b c (Å): 6.031 6.031 4.786
angles (deg): 90.00 90.00 120.00
Fractional coordinates of all 9 atoms:
Rb: 0.333 0.667 0.302
Rb: 0.667 0.333 0.698
Sn: 0.000 0.000 0.000
F: 0.159 0.317 0.772
F: 0.159 0.841 0.772
F: 0.317 0.159 0.228
F: 0.683 0.841 0.772
F: 0.841 0.159 0.228
F: 0.841 0.683 0.228

***

3.
Below is a relaxed MgZn2 crystal, with properties calculated at the r²SCAN level.

Output
Electronic total energy in eV per atom: -7.47

a b c (Å): 5.151 5.151 5.151
angles (deg): 60.00 60.00 60.00
Fractional coordinates of all 6 atoms:
Mg: 0.125 0.125 0.125
Mg: 0.875 0.875 0.875
Zn: 0.000 0.500 0.500
Zn: 0.500 0.000 0.500
Zn: 0.500 0.500 0.000
Zn: 0.500 0.500 0.500

***

4.
Below is a relaxed SmGa3Ni crystal, with properties calculated at the r²SCAN level.

Output
Electronic total energy in eV per atom: -15.87

a b c (Å): 5.861 5.861 5.861
angles (deg): 138.15 138.15 60.67
Fractional coordinates of all 5 atoms:
Sm: 0.000 0.000 0.000
Ga: 0.251 0.751 0.500
Ga: 0.586 0.586 0.000
Ga: 0.751 0.251 0.500
Ni: 0.358 0.358 0.000

***

5.
Below is a relaxed EuP7 crystal, with properties calculated at the r²SCAN level.

Output
Electronic total energy in eV per atom: -13.11

a b c (Å): 10.636 5.705 13.311
angles (deg): 90.00 123.91 90.00
Fractional coordinates of all 32 atoms:
Eu: 0.247 0.107 0.284
Eu: 0.247 0.393 0.784
Eu: 0.753 0.607 0.216
Eu: 0.753 0.893 0.716
P: 0.002 0.041 0.583
P: 0.002 0.459 0.083
P: 0.040 0.205 0.864
P: 0.040 0.295 0.364
P: 0.212 0.055 0.041
P: 0.212 0.445 0.541
P: 0.218 0.706 0.972
P: 0.218 0.794 0.472
P: 0.367 0.596 0.278
P: 0.367 0.904 0.778
P: 0.415 0.567 0.139
P: 0.415 0.933 0.639
P: 0.418 0.222 0.067
P: 0.418 0.278 0.567
P: 0.582 0.722 0.433
P: 0.582 0.778 0.933
P: 0.585 0.067 0.361
P: 0.585 0.433 0.861
P: 0.633 0.096 0.222
P: 0.633 0.404 0.722
P: 0.782 0.206 0.528
P: 0.782 0.294 0.028
P: 0.788 0.555 0.459
P: 0.788 0.945 0.959
P: 0.960 0.705 0.636
P: 0.960 0.795 0.136
P: 0.998 0.541 0.917
P: 0.998 0.959 0.417

***

6.
Below is a relaxed Na2PdF6 crystal, with properties calculated at the r²SCAN level.

Output
Electronic total energy in eV per atom: -7.66

a b c (Å): 9.184 9.184 5.092
angles (deg): 90.00 90.00 120.00
Fractional coordinates of all 27 atoms:
Na: 0.000 0.297 0.000
Na: 0.000 0.631 0.500
Na: 0.297 0.000 0.000
Na: 0.369 0.369 0.500
Na: 0.631 0.000 0.500
Na: 0.703 0.703 0.000
Pd: 0.000 0.000 0.500
Pd: 0.333 0.667 0.994
Pd: 0.667 0.333 0.006
F: 0.093 0.893 0.709
F: 0.107 0.200 0.709
F: 0.136 0.548 0.779
F: 0.200 0.107 0.291
F: 0.220 0.752 0.207
F: 0.248 0.468 0.207
F: 0.412 0.864 0.779
F: 0.452 0.588 0.779
F: 0.468 0.248 0.793
F: 0.532 0.780 0.207
F: 0.548 0.136 0.221
F: 0.588 0.452 0.221
F: 0.752 0.220 0.793
F: 0.780 0.532 0.793
F: 0.800 0.907 0.709
F: 0.864 0.412 0.221
F: 0.893 0.093 0.291
F: 0.907 0.800 0.291

***

7.
Below is a relaxed Rb6Co2O7 crystal, with properties calculated at the r²SCAN level.

Output
Electronic total energy in eV per atom: -11.57

a b c (Å): 6.848 9.448 11.472
angles (deg): 90.00 124.57 90.00
Fractional coordinates of all 30 atoms:
Rb: 0.055 0.148 0.424
Rb: 0.055 0.352 0.924
Rb: 0.196 0.526 0.442
Rb: 0.196 0.974 0.942
Rb: 0.416 0.206 0.287
Rb: 0.416 0.294 0.787
Rb: 0.584 0.706 0.213
Rb: 0.584 0.794 0.713
Rb: 0.804 0.026 0.058
Rb: 0.804 0.474 0.558
Rb: 0.945 0.648 0.076
Rb: 0.945 0.852 0.576
Co: 0.318 0.640 0.867
Co: 0.318 0.860 0.367
Co: 0.682 0.140 0.633
Co: 0.682 0.360 0.133
O: 0.049 0.665 0.857
O: 0.049 0.835 0.357
O: 0.256 0.591 0.699
O: 0.256 0.909 0.199
O: 0.500 0.000 0.500
O: 0.500 0.206 0.071
O: 0.500 0.294 0.571
O: 0.500 0.500 0.000
O: 0.500 0.706 0.429
O: 0.500 0.794 0.929
O: 0.744 0.091 0.801
O: 0.744 0.409 0.301
O: 0.951 0.165 0.643
O: 0.951 0.335 0.143

***

8.
Below is a relaxed Y3Os crystal, with properties calculated at the r²SCAN level.

Output
Electronic total energy in eV per atom: -28.74

a b c (Å): 7.404 9.089 6.386
angles (deg): 90.00 90.00 90.00
Fractional coordinates of all 16 atoms:
Y: 0.043 0.250 0.129
Y: 0.172 0.064 0.669
Y: 0.172 0.436 0.669
Y: 0.328 0.564 0.169
Y: 0.328 0.936 0.169
Y: 0.457 0.750 0.629
Y: 0.543 0.250 0.371
Y: 0.672 0.064 0.831
Y: 0.672 0.436 0.831
Y: 0.828 0.564 0.331
Y: 0.828 0.936 0.331
Y: 0.957 0.750 0.871
Os: 0.117 0.750 0.465
Os: 0.383 0.250 0.965
Os: 0.617 0.750 0.035
Os: 0.883 0.250 0.535

***

9.
Below is a relaxed CsIn3O5 crystal, with properties calculated at the r²SCAN level.

Output
Electronic total energy in eV per atom: -15.43

a b c (Å): 10.151 3.364 16.597
angles (deg): 90.00 90.00 90.00
Fractional coordinates of all 36 atoms:
Cs: 0.030 0.250 0.121
Cs: 0.470 0.750 0.621
Cs: 0.530 0.250 0.379
Cs: 0.970 0.750 0.879
In: 0.110 0.250 0.663
In: 0.145 0.750 0.489
In: 0.181 0.250 0.319
In: 0.319 0.750 0.819
In: 0.355 0.250 0.989
In: 0.390 0.750 0.163
In: 0.610 0.250 0.837
In: 0.645 0.750 0.011
In: 0.681 0.250 0.181
In: 0.819 0.750 0.681
In: 0.855 0.250 0.511
In: 0.890 0.750 0.337
O: 0.023 0.250 0.424
O: 0.066 0.750 0.272
O: 0.195 0.750 0.717
O: 0.221 0.250 0.555
O: 0.231 0.250 0.887
O: 0.269 0.750 0.387
O: 0.279 0.750 0.055
O: 0.305 0.250 0.217
O: 0.434 0.250 0.772
O: 0.477 0.750 0.924
O: 0.523 0.250 0.076
O: 0.566 0.750 0.228
O: 0.695 0.750 0.783
O: 0.721 0.250 0.945
O: 0.731 0.250 0.613
O: 0.769 0.750 0.113
O: 0.779 0.750 0.445
O: 0.805 0.250 0.283
O: 0.934 0.250 0.728
O: 0.977 0.750 0.576

***

10.
Below is a relaxed Re24Mo5 crystal, with properties calculated at the r²SCAN level.

Output
Electronic total energy in eV per atom: -47.90

a b c (Å): 8.313 8.313 8.313
angles (deg): 109.47 109.47 109.47
Fractional coordinates of all 29 atoms:
Re: 0.000 0.315 0.598
Re: 0.000 0.598 0.315
Re: 0.000 0.624 0.806
Re: 0.000 0.806 0.624
Re: 0.182 0.376 0.376
Re: 0.194 0.194 0.818
Re: 0.194 0.818 0.194
Re: 0.283 0.685 0.685
Re: 0.315 0.000 0.598
Re: 0.315 0.598 0.000
Re: 0.376 0.182 0.376
Re: 0.376 0.376 0.182
Re: 0.402 0.402 0.717
Re: 0.402 0.717 0.402
Re: 0.598 0.000 0.315
Re: 0.598 0.315 0.000
Re: 0.624 0.000 0.806
Re: 0.624 0.806 0.000
Re: 0.685 0.283 0.685
Re: 0.685 0.685 0.283
Re: 0.717 0.402 0.402
Re: 0.806 0.000 0.624
Re: 0.806 0.624 0.000
Re: 0.818 0.194 0.194
Mo: 0.000 0.000 0.000
Mo: 0.000 0.000 0.359
Mo: 0.000 0.359 0.000
Mo: 0.359 0.000 0.000
Mo: 0.641 0.641 0.641

***

11.
Below is a relaxed Nd2InHg crystal, with properties calculated at the r²SCAN level.

Output
Electronic total energy in eV per atom: -33.29

a b c (Å): 5.450 5.450 5.450
angles (deg): 60.00 60.00 60.00
Fractional coordinates of all 4 atoms:
Nd: 0.250 0.250 0.250
Nd: 0.750 0.750 0.750
In: 0.000 0.000 0.000
Hg: 0.500 0.500 0.500

***

12.
Below is a relaxed SiO2 crystal, with properties calculated at the r²SCAN level.

Output
Electronic total energy in eV per atom: -9.86

a b c (Å): 5.112 5.240 6.955
angles (deg): 72.84 75.09 85.24
Fractional coordinates of all 12 atoms:
Si: 0.000 0.000 0.000
Si: 0.040 0.910 0.461
Si: 0.470 0.969 0.660
Si: 0.794 0.556 0.844
O: 0.004 0.607 0.616
O: 0.053 0.915 0.228
O: 0.282 0.104 0.830
O: 0.322 0.015 0.472
O: 0.503 0.658 0.793
O: 0.777 0.082 0.551
O: 0.788 0.248 0.977
O: 0.879 0.744 0.968

***

13.
Below is a relaxed AlSCl7 crystal, with properties calculated at the r²SCAN level.

Output
Electronic total energy in eV per atom: -7.33

a b c (Å): 6.451 6.274 13.280
angles (deg): 90.00 102.82 90.00
Fractional coordinates of all 18 atoms:
Al: 0.000 0.010 0.000
Al: 0.000 0.990 0.500
S: 0.669 0.429 0.832
S: 0.669 0.571 0.332
Cl: 0.024 0.331 0.502
Cl: 0.024 0.669 0.002
Cl: 0.057 0.127 0.856
Cl: 0.057 0.873 0.356
Cl: 0.221 0.144 0.128
Cl: 0.221 0.856 0.628
Cl: 0.444 0.402 0.378
Cl: 0.444 0.598 0.878
Cl: 0.496 0.212 0.740
Cl: 0.496 0.788 0.240
Cl: 0.684 0.103 0.010
Cl: 0.684 0.897 0.510
Cl: 0.758 0.380 0.229
Cl: 0.758 0.620 0.729

***

14.
Below is a relaxed GdB12 crystal, with properties calculated at the r²SCAN level.

Output
Electronic total energy in eV per atom: -10.37

a b c (Å): 5.311 5.311 5.311
angles (deg): 60.00 60.00 60.00
Fractional coordinates of all 13 atoms:
Gd: 0.000 0.000 0.000
B: 0.162 0.500 0.500
B: 0.162 0.500 0.838
B: 0.162 0.838 0.500
B: 0.500 0.162 0.500
B: 0.500 0.162 0.838
B: 0.500 0.500 0.162
B: 0.500 0.500 0.838
B: 0.500 0.838 0.162
B: 0.500 0.838 0.500
B: 0.838 0.162 0.500
B: 0.838 0.500 0.162
B: 0.838 0.500 0.500

***

15.
Below is a relaxed La3SbO7 crystal, with properties calculated at the r²SCAN level.

Output
Electronic total energy in eV per atom: -17.46

a b c (Å): 7.753 11.168 7.609
angles (deg): 90.00 90.00 90.00
Fractional coordinates of all 44 atoms:
La: 0.000 0.250 0.249
La: 0.000 0.750 0.751
La: 0.250 0.022 0.547
La: 0.250 0.478 0.547
La: 0.250 0.522 0.047
La: 0.250 0.978 0.047
La: 0.500 0.250 0.251
La: 0.500 0.750 0.749
La: 0.750 0.022 0.953
La: 0.750 0.478 0.953
La: 0.750 0.522 0.453
La: 0.750 0.978 0.453
Sb: 0.000 0.250 0.750
Sb: 0.000 0.750 0.250
Sb: 0.500 0.250 0.750
Sb: 0.500 0.750 0.250
O: 0.034 0.126 0.934
O: 0.034 0.374 0.934
O: 0.035 0.625 0.433
O: 0.035 0.875 0.433
O: 0.250 0.120 0.274
O: 0.250 0.250 0.674
O: 0.250 0.380 0.274
O: 0.250 0.620 0.774
O: 0.250 0.750 0.174
O: 0.250 0.880 0.774
O: 0.465 0.125 0.933
O: 0.465 0.375 0.933
O: 0.466 0.626 0.434
O: 0.466 0.874 0.434
O: 0.534 0.126 0.566
O: 0.534 0.374 0.566
O: 0.535 0.625 0.067
O: 0.535 0.875 0.067
O: 0.750 0.120 0.226
O: 0.750 0.250 0.826
O: 0.750 0.380 0.226
O: 0.750 0.620 0.726
O: 0.750 0.750 0.326
O: 0.750 0.880 0.726
O: 0.965 0.125 0.567
O: 0.965 0.375 0.567
O: 0.966 0.626 0.066
O: 0.966 0.874 0.066

***

no.,formation energy (eV/atom)
1,-0.2499
2,-2.9637
3,-0.1405
4,-0.6572
5,-0.4173
6,-2.2368
7,-1.4487
8,-0.2614
9,-1.7997
10,-0.0291
11,-0.5967
12,-2.9496
13,-0.9024
14,-0.2462
15,-3.2094